DFT (r2SCAN) results for a relaxed structure of CsNa2.

Calculated values
The calculation puts the formation energy at 14 meV/atom. As for the theoretical density: 1.70 g/cm3.

Cell: 7.8515 7.8515 13.0900 Å, 90.00 90.00 120.00°
Closest atoms and distances in Å follow each position.
Sites, in units of the cell vectors:
Cs  0.3333  0.6667  0.0621  12 Na 4.61-4.69, 4 Cs 4.82-4.92
Cs  0.3333  0.6667  0.4379  12 Na 4.61-4.69, 4 Cs 4.82-4.92
Cs  0.6667  0.3333  0.5621  12 Na 4.61-4.69, 4 Cs 4.82-4.92
Cs  0.6667  0.3333  0.9379  12 Na 4.61-4.69, 4 Cs 4.82-4.92
Na  0.0000  0.0000  0.0000  6 Na 3.96
Na  0.0000  0.0000  0.5000  6 Na 3.96
Na  0.1639  0.3277  0.7500  6 Na 3.86-3.99
Na  0.1639  0.8361  0.7500  6 Na 3.86-3.99
Na  0.3277  0.1639  0.2500  6 Na 3.86-3.99
Na  0.6723  0.8361  0.7500  6 Na 3.86-3.99
Na  0.8361  0.1639  0.2500  6 Na 3.86-3.99
Na  0.8361  0.6723  0.2500  6 Na 3.86-3.99


DFT (r2SCAN) results for a relaxed structure of GeSe2O6.

Calculated values
The value obtained for the energy relative to the lowest polymorph listed for this composition is 5.3 meV per atom. The calculation puts the formation energy at -1134 meV/atom. As for the theoretical density: 4.57 g/cm3.

Cell: 7.7982 7.7982 7.7982 Å, 90.00 90.00 90.00°
Closest atoms and distances in Å follow each position.
Sites, in units of the cell vectors:
Ge  0.0000  0.0000  0.0000  6 O 1.89
Ge  0.0000  0.5000  0.5000  6 O 1.89
Ge  0.5000  0.0000  0.5000  6 O 1.89
Ge  0.5000  0.5000  0.0000  6 O 1.89
Se  0.1699  0.6699  0.8301  3 O 1.72
Se  0.1699  0.8301  0.3301  3 O 1.72
Se  0.3301  0.1699  0.8301  3 O 1.72
Se  0.3301  0.3301  0.3301  3 O 1.72
Se  0.6699  0.6699  0.6699  3 O 1.72
Se  0.6699  0.8301  0.1699  3 O 1.72
Se  0.8301  0.1699  0.6699  3 O 1.72
Se  0.8301  0.3301  0.1699  3 O 1.72
O  0.0285  0.5275  0.7389  1 Se 1.72, 1 Ge 1.89
O  0.0275  0.7389  0.4715  1 Se 1.72, 1 Ge 1.89
O  0.0275  0.7611  0.9715  1 Se 1.72, 1 Ge 1.89
O  0.0285  0.9725  0.2389  1 Se 1.72, 1 Ge 1.89
O  0.2389  0.0285  0.9725  1 Se 1.72, 1 Ge 1.89
O  0.2389  0.4715  0.4725  1 Se 1.72, 1 Ge 1.89
O  0.2611  0.5285  0.9725  1 Se 1.72, 1 Ge 1.89
O  0.2611  0.9715  0.4725  1 Se 1.72, 1 Ge 1.89
O  0.4715  0.0275  0.7389  1 Se 1.72, 1 Ge 1.89
O  0.4725  0.2389  0.4715  1 Se 1.72, 1 Ge 1.89
O  0.4725  0.2611  0.9715  1 Se 1.72, 1 Ge 1.89
O  0.4715  0.4725  0.2389  1 Se 1.72, 1 Ge 1.89
O  0.5285  0.5275  0.7611  1 Se 1.72, 1 Ge 1.89
O  0.5275  0.7389  0.0285  1 Se 1.72, 1 Ge 1.89
O  0.5275  0.7611  0.5285  1 Se 1.72, 1 Ge 1.89
O  0.5285  0.9725  0.2611  1 Se 1.72, 1 Ge 1.89
O  0.7389  0.0285  0.5275  1 Se 1.72, 1 Ge 1.89
O  0.7389  0.4715  0.0275  1 Se 1.72, 1 Ge 1.89
O  0.7611  0.5285  0.5275  1 Se 1.72, 1 Ge 1.89
O  0.7611  0.9715  0.0275  1 Se 1.72, 1 Ge 1.89
O  0.9715  0.0275  0.7611  1 Se 1.72, 1 Ge 1.89
O  0.9725  0.2389  0.0285  1 Se 1.72, 1 Ge 1.89
O  0.9725  0.2611  0.5285  1 Se 1.72, 1 Ge 1.89
O  0.9715  0.4725  0.2611  1 Se 1.72, 1 Ge 1.89


DFT (r2SCAN) results for a relaxed structure of AcI3.

Calculated values
The calculation puts the formation energy at -1729 meV/atom. As for the theoretical density: 4.33 g/cm3.

Cell: 11.0362 11.0362 4.4144 Å, 90.00 90.00 120.00°
Closest atoms and distances in Å follow each position.
Sites, in units of the cell vectors:
Ac  0.3333  0.6667  0.2500  6 I 3.30
Ac  0.6667  0.3333  0.7500  6 I 3.30
I  0.2051  0.4101  0.7500  2 Ac 3.30
I  0.2051  0.7949  0.7500  2 Ac 3.30
I  0.4101  0.2051  0.2500  2 Ac 3.30
I  0.5899  0.7949  0.7500  2 Ac 3.30
I  0.7949  0.2051  0.2500  2 Ac 3.30
I  0.7949  0.5899  0.2500  2 Ac 3.30


DFT (r2SCAN) results for a relaxed structure of LiFeF4.

Calculated values
The value obtained for the energy relative to the lowest polymorph listed for this composition is 2.1 meV per atom. The calculation puts the formation energy at -2788 meV/atom. As for the theoretical density: 3.67 g/cm3.

Cell: 4.5899 5.5365 4.9491 Å, 90.00 90.90 90.00°
Closest atoms and distances in Å follow each position.
Sites, in units of the cell vectors:
Li  0.0000  0.1465  0.2500  6 F 1.98-2.04
Li  0.0000  0.8535  0.7500  6 F 1.98-2.04
Fe  0.5000  0.3286  0.7500  6 F 1.86-2.05
Fe  0.5000  0.6714  0.2500  6 F 1.86-2.05
F  0.2367  0.1187  0.5857  1 Fe 1.86, 2 Li 1.98-2.01
F  0.2367  0.8813  0.0857  1 Fe 1.86, 2 Li 1.98-2.01
F  0.2754  0.3896  0.0774  2 Fe 1.96-2.05, 1 Li 2.04
F  0.2754  0.6104  0.5774  2 Fe 1.96-2.05, 1 Li 2.04
F  0.7246  0.3896  0.4226  2 Fe 1.96-2.05, 1 Li 2.04
F  0.7246  0.6104  0.9226  2 Fe 1.96-2.05, 1 Li 2.04
F  0.7633  0.1187  0.9143  1 Fe 1.86, 2 Li 1.98-2.01
F  0.7633  0.8813  0.4143  1 Fe 1.86, 2 Li 1.98-2.01


DFT (r2SCAN) results for a relaxed structure of PrGeRh.

Calculated values
The calculation puts the formation energy at -923 meV/atom. As for the theoretical density: 8.63 g/cm3.

Cell: 7.2871 4.5212 7.3953 Å, 90.00 90.00 90.00°
Closest atoms and distances in Å follow each position.
Sites, in units of the cell vectors:
Pr  0.0206  0.2500  0.1941  4 Rh 2.98-3.29, 6 Ge 3.14-3.23
Pr  0.4794  0.7500  0.6941  4 Rh 2.98-3.29, 6 Ge 3.14-3.23
Pr  0.5206  0.2500  0.3059  4 Rh 2.98-3.29, 6 Ge 3.14-3.23
Pr  0.9794  0.7500  0.8059  4 Rh 2.98-3.29, 6 Ge 3.14-3.23
Ge  0.1816  0.2500  0.5880  4 Rh 2.58-2.69
Ge  0.3184  0.7500  0.0880  4 Rh 2.58-2.69
Ge  0.6816  0.2500  0.9120  4 Rh 2.58-2.69
Ge  0.8184  0.7500  0.4120  4 Rh 2.58-2.69
Rh  0.1878  0.7500  0.4119  4 Ge 2.58-2.69
Rh  0.3122  0.2500  0.9119  4 Ge 2.58-2.69
Rh  0.6878  0.7500  0.0881  4 Ge 2.58-2.69
Rh  0.8122  0.2500  0.5881  4 Ge 2.58-2.69


DFT (r2SCAN) results for a relaxed structure of HoGa3.

Calculated values
The calculation puts the formation energy at -560 meV/atom. As for the theoretical density: 8.32 g/cm3.

Cell: 12.1850 12.1850 12.1850 Å, 28.89 28.89 28.89°
Closest atoms and distances in Å follow each position.
Sites, in units of the cell vectors:
Ho  0.0000  0.0000  0.0000  12 Ga 3.04-3.05
Ho  0.1296  0.1296  0.1296  12 Ga 2.97-3.04
Ho  0.4003  0.4003  0.4003  12 Ga 2.93-3.05
Ho  0.5997  0.5997  0.5997  12 Ga 2.93-3.05
Ho  0.8704  0.8704  0.8704  12 Ga 2.97-3.04
Ga  0.0000  0.5000  0.5000  8 Ga 2.85-3.04, 4 Ho 2.93-3.04
Ga  0.1219  0.1219  0.5578  6 Ga 2.65-2.89
Ga  0.1219  0.5578  0.1219  6 Ga 2.65-2.89
Ga  0.1307  0.6360  0.6360  8 Ga 2.88-3.07, 4 Ho 2.95-3.04
Ga  0.3640  0.3640  0.8693  8 Ga 2.88-3.07, 4 Ho 2.95-3.04
Ga  0.3640  0.8693  0.3640  8 Ga 2.88-3.07, 4 Ho 2.95-3.04
Ga  0.4422  0.8781  0.8781  6 Ga 2.65-2.89
Ga  0.5000  0.0000  0.5000  8 Ga 2.85-3.04, 4 Ho 2.93-3.04
Ga  0.5000  0.5000  0.0000  8 Ga 2.85-3.04, 4 Ho 2.93-3.04
Ga  0.5578  0.1219  0.1219  6 Ga 2.65-2.89
Ga  0.6360  0.1307  0.6360  8 Ga 2.88-3.07, 4 Ho 2.95-3.04
Ga  0.6360  0.6360  0.1307  8 Ga 2.88-3.07, 4 Ho 2.95-3.04
Ga  0.8693  0.3640  0.3640  8 Ga 2.88-3.07, 4 Ho 2.95-3.04
Ga  0.8781  0.4422  0.8781  6 Ga 2.65-2.89
Ga  0.8781  0.8781  0.4422  6 Ga 2.65-2.89


DFT (r2SCAN) results for a relaxed structure of GaBr3.

Calculated values
The calculation puts the formation energy at -941 meV/atom. As for the theoretical density: 3.72 g/cm3.

Cell: 9.0086 5.7575 11.1904 Å, 90.00 107.76 90.00°
Closest atoms and distances in Å follow each position.
Sites, in units of the cell vectors:
Ga  0.1982  0.0015  0.0475  4 Br 2.27-2.47
Ga  0.1982  0.4985  0.5475  4 Br 2.27-2.47
Ga  0.8018  0.5015  0.4525  4 Br 2.27-2.47
Ga  0.8018  0.9985  0.9525  4 Br 2.27-2.47
Br  0.9999  0.2202  0.1128  2 Ga 2.47
Br  0.9999  0.2798  0.6128  2 Ga 2.47
Br  0.0001  0.7202  0.3872  2 Ga 2.47
Br  0.0001  0.7798  0.8872  2 Ga 2.47
Br  0.3232  0.2453  0.9510  1 Ga 2.27
Br  0.3232  0.2547  0.4510  1 Ga 2.27
Br  0.3281  0.7371  0.7065  1 Ga 2.27
Br  0.3281  0.7629  0.2065  1 Ga 2.27
Br  0.6719  0.2371  0.7935  1 Ga 2.27
Br  0.6719  0.2629  0.2935  1 Ga 2.27
Br  0.6768  0.7453  0.5490  1 Ga 2.27
Br  0.6768  0.7547  0.0490  1 Ga 2.27


DFT (r2SCAN) results for a relaxed structure of ThB6.

Calculated values
The calculation puts the formation energy at -527 meV/atom. As for the theoretical density: 7.11 g/cm3.

Cell: 4.1090 4.1090 4.1090 Å, 90.00 90.00 90.00°
Closest atoms and distances in Å follow each position.
Sites, in units of the cell vectors:
Th  0.0000  0.0000  0.0000  24 B 3.02
B  0.1976  0.5000  0.5000  5 B 1.62-1.76
B  0.5000  0.1976  0.5000  5 B 1.62-1.76
B  0.5000  0.5000  0.1976  5 B 1.62-1.76
B  0.5000  0.5000  0.8024  5 B 1.62-1.76
B  0.5000  0.8024  0.5000  5 B 1.62-1.76
B  0.8024  0.5000  0.5000  5 B 1.62-1.76


DFT (r2SCAN) results for a relaxed structure of ErNbOs2.

Calculated values
The calculation puts the formation energy at -300 meV/atom. As for the theoretical density: 15.32 g/cm3.

Cell: 6.5246 6.5246 6.5246 Å, 90.00 90.00 90.00°
Closest atoms and distances in Å follow each position.
Sites, in units of the cell vectors:
Er  0.0000  0.0000  0.0000  8 Os 2.83
Er  0.0000  0.5000  0.5000  8 Os 2.83
Er  0.5000  0.0000  0.5000  8 Os 2.83
Er  0.5000  0.5000  0.0000  8 Os 2.83
Nb  0.0000  0.0000  0.5000  8 Os 2.83
Nb  0.0000  0.5000  0.0000  8 Os 2.83
Nb  0.5000  0.0000  0.0000  8 Os 2.83
Nb  0.5000  0.5000  0.5000  8 Os 2.83
Os  0.2500  0.2500  0.2500  4 Nb 2.83, 4 Er 2.83
Os  0.2500  0.2500  0.7500  4 Nb 2.83, 4 Er 2.83
Os  0.2500  0.7500  0.2500  4 Nb 2.83, 4 Er 2.83
Os  0.2500  0.7500  0.7500  4 Nb 2.83, 4 Er 2.83
Os  0.7500  0.2500  0.2500  4 Nb 2.83, 4 Er 2.83
Os  0.7500  0.2500  0.7500  4 Nb 2.83, 4 Er 2.83
Os  0.7500  0.7500  0.2500  4 Nb 2.83, 4 Er 2.83
Os  0.7500  0.7500  0.7500  4 Nb 2.83, 4 Er 2.83


DFT (r2SCAN) results for a relaxed structure of BaLu2Se4.

Calculated values
The calculation puts the formation energy at -2252 meV/atom. As for the theoretical density: 6.84 g/cm3.

Cell: 12.6964 4.1163 14.9162 Å, 90.00 90.00 90.00°
Closest atoms and distances in Å follow each position.
Sites, in units of the cell vectors:
Ba  0.2397  0.2500  0.1658  8 Se 3.30-3.46
Ba  0.2603  0.7500  0.6658  8 Se 3.30-3.46
Ba  0.7397  0.2500  0.3342  8 Se 3.30-3.46
Ba  0.7603  0.7500  0.8342  8 Se 3.30-3.46
Lu  0.0612  0.2500  0.3909  6 Se 2.76-2.84
Lu  0.0799  0.2500  0.9008  6 Se 2.79-2.86
Lu  0.4201  0.7500  0.4008  6 Se 2.79-2.86
Lu  0.4388  0.7500  0.8909  6 Se 2.76-2.84
Lu  0.5612  0.2500  0.1091  6 Se 2.76-2.84
Lu  0.5799  0.2500  0.5992  6 Se 2.79-2.86
Lu  0.9201  0.7500  0.0992  6 Se 2.79-2.86
Lu  0.9388  0.7500  0.6091  6 Se 2.76-2.84
Se  0.0261  0.7500  0.7836  3 Lu 2.79-2.83
Se  0.0845  0.2500  0.5750  3 Lu 2.76-2.81
Se  0.1223  0.7500  0.0248  3 Lu 2.80-2.82
Se  0.2050  0.7500  0.3438  3 Lu 2.84-2.86
Se  0.2950  0.2500  0.8438  3 Lu 2.84-2.86
Se  0.3777  0.2500  0.5248  3 Lu 2.80-2.82
Se  0.4155  0.7500  0.0750  3 Lu 2.76-2.81
Se  0.4739  0.2500  0.2836  3 Lu 2.79-2.83
Se  0.5261  0.7500  0.7164  3 Lu 2.79-2.83
Se  0.5845  0.2500  0.9250  3 Lu 2.76-2.81
Se  0.6223  0.7500  0.4752  3 Lu 2.80-2.82
Se  0.7050  0.7500  0.1562  3 Lu 2.84-2.86
Se  0.7950  0.2500  0.6562  3 Lu 2.84-2.86
Se  0.8777  0.2500  0.9752  3 Lu 2.80-2.82
Se  0.9155  0.7500  0.4250  3 Lu 2.76-2.81
Se  0.9739  0.2500  0.2164  3 Lu 2.79-2.83


DFT (r2SCAN) results for a relaxed structure of Sm3In.

Calculated values
The value obtained for the energy relative to the lowest polymorph listed for this composition is 0.0 meV per atom. The calculation puts the formation energy at -372 meV/atom. As for the theoretical density: 7.85 g/cm3.

Cell: 4.9279 4.9279 4.9279 Å, 90.00 90.00 90.00°
Closest atoms and distances in Å follow each position.
Sites, in units of the cell vectors:
Sm  0.0000  0.0000  0.5000  4 In 3.48, 8 Sm 3.48
Sm  0.0000  0.5000  0.0000  4 In 3.48, 8 Sm 3.48
Sm  0.5000  0.0000  0.0000  4 In 3.48, 8 Sm 3.48
In  0.5000  0.5000  0.5000  12 Sm 3.48


DFT (r2SCAN) results for a relaxed structure of Sr2HfO4.

Calculated values
The value obtained for the energy relative to the lowest polymorph listed for this composition is 0.0 meV per atom. The calculation puts the formation energy at -3496 meV/atom. As for the theoretical density: 6.55 g/cm3.

Cell: 5.7963 5.7963 12.6136 Å, 90.00 90.00 90.00°
Closest atoms and distances in Å follow each position.
Sites, in units of the cell vectors:
Sr  0.0121  0.0121  0.1482  4 O 2.42-2.65
Sr  0.0121  0.4879  0.6482  4 O 2.42-2.65
Sr  0.4879  0.0121  0.6482  4 O 2.42-2.65
Sr  0.4879  0.4879  0.1482  4 O 2.42-2.65
Sr  0.5121  0.5121  0.8518  4 O 2.42-2.65
Sr  0.5121  0.9879  0.3518  4 O 2.42-2.65
Sr  0.9879  0.5121  0.3518  4 O 2.42-2.65
Sr  0.9879  0.9879  0.8518  4 O 2.42-2.65
Hf  0.0000  0.0000  0.5000  6 O 2.05-2.08
Hf  0.0000  0.5000  0.0000  6 O 2.05-2.08
Hf  0.5000  0.0000  0.0000  6 O 2.05-2.08
Hf  0.5000  0.5000  0.5000  6 O 2.05-2.08
O  0.0413  0.0413  0.6629  1 Hf 2.08
O  0.0413  0.4587  0.1629  1 Hf 2.08
O  0.2500  0.2500  0.4753  2 Hf 2.07
O  0.2500  0.2500  0.9753  2 Hf 2.07
O  0.2500  0.7500  0.0000  2 Hf 2.05
O  0.2500  0.7500  0.5000  2 Hf 2.05
O  0.4587  0.0413  0.1629  1 Hf 2.08
O  0.4587  0.4587  0.6629  1 Hf 2.08
O  0.5413  0.5413  0.3371  1 Hf 2.08
O  0.5413  0.9587  0.8371  1 Hf 2.08
O  0.7500  0.2500  0.0000  2 Hf 2.05
O  0.7500  0.2500  0.5000  2 Hf 2.05
O  0.7500  0.7500  0.0247  2 Hf 2.07
O  0.7500  0.7500  0.5247  2 Hf 2.07
O  0.9587  0.5413  0.8371  1 Hf 2.08
O  0.9587  0.9587  0.3371  1 Hf 2.08


> What is the theoretical density in the first record?

1.70 g/cm3


> Among the records above, which one has the highest theoretical density?

ErNbOs2


> Look up the theoretical density of the seventh one.

3.72 g/cm3